# 1
## Li2MnSiO4 (PBE+U)

Data for a relaxed Li2MnSiO4 crystal.

Its corrected total energy (MP2020 scheme) is -7.45 eV per atom. Its total energy is -6.90 eV per atom. The value obtained for the piezoelectric modulus e_max is 0.2 C/m². The calculation puts the energy above the most stable polymorph in this dataset at 1.10 kJ/mol of atoms. The energy of formation comes out at -2.679 eV/atom.

Unit cell a=5.0745 b=6.3605 c=11.0576 alpha=90.00 beta=90.00 gamma=90.00
Closest atoms and distances in Å follow each position.
Fractional coordinates of all 32 atoms:
Li: 0.7055 0.8703 0.5950  4 O 1.92-2.06
Li: 0.1963 0.1171 0.6737  4 O 1.98-2.09
Li: 0.6963 0.6171 0.8263  4 O 1.98-2.09
Li: 0.2055 0.3703 0.9050  4 O 1.92-2.06
Li: 0.7945 0.8703 0.0950  4 O 1.92-2.06
Li: 0.3037 0.1171 0.1737  4 O 1.98-2.09
Li: 0.8037 0.6171 0.3263  4 O 1.98-2.09
Li: 0.2945 0.3703 0.4050  4 O 1.92-2.06
Mn: 0.7008 0.3626 0.5864  4 O 2.06-2.13
Mn: 0.2008 0.8626 0.9136  4 O 2.06-2.13
Mn: 0.7992 0.3626 0.0864  4 O 2.06-2.13
Mn: 0.2992 0.8626 0.4136  4 O 2.06-2.13
Si: 0.1903 0.6182 0.6645  4 O 1.65-1.66
Si: 0.6903 0.1182 0.8355  4 O 1.65-1.66
Si: 0.3097 0.6182 0.1645  4 O 1.65-1.66
Si: 0.8097 0.1182 0.3355  4 O 1.65-1.66
O: 0.3019 0.8346 0.5988  1 Si 1.66
O: 0.2840 0.4038 0.5901  1 Si 1.66
O: 0.8647 0.6247 0.6652  1 Si 1.65
O: 0.8032 0.1108 0.6950  1 Si 1.66
O: 0.3032 0.6108 0.8050  1 Si 1.66
O: 0.3647 0.1247 0.8348  1 Si 1.65
O: 0.7840 0.9038 0.9099  1 Si 1.66
O: 0.8019 0.3346 0.9012  1 Si 1.66
O: 0.1981 0.8346 0.0988  1 Si 1.66
O: 0.2160 0.4038 0.0901  1 Si 1.66
O: 0.6353 0.6247 0.1652  1 Si 1.65
O: 0.6968 0.1108 0.1950  1 Si 1.66
O: 0.1968 0.6108 0.3050  1 Si 1.66
O: 0.1353 0.1247 0.3348  1 Si 1.65
O: 0.7160 0.9038 0.4099  1 Si 1.66
O: 0.6981 0.3346 0.4012  1 Si 1.66

=====

# 2
## LiCoC2O6 (PBE+U)

Data for a relaxed LiCoC2O6 crystal.

Its corrected total energy (MP2020 scheme) is -7.42 eV per atom. Its total energy is -6.84 eV per atom. The calculation puts the energy above the most stable polymorph in this dataset at 6.39 kJ/mol of atoms. The energy of formation comes out at -1.703 eV/atom.

Unit cell a=5.0028 b=5.0028 c=6.1401 alpha=67.95 beta=67.95 gamma=59.50
Closest atoms and distances in Å follow each position.
Fractional coordinates of all 10 atoms:
Li: 0.0000 0.0000 0.5000  4 O 2.06
Co: 0.0000 0.0000 0.0000  6 O 1.97-2.06
C: 0.5992 0.5992 0.2175  3 O 1.28-1.29
C: 0.4008 0.4008 0.7825  3 O 1.28-1.29
O: 0.2946 0.7461 0.2371  1 C 1.29
O: 0.2539 0.7054 0.7629  1 C 1.29
O: 0.7514 0.7514 0.2002  1 C 1.28
O: 0.2486 0.2486 0.7998  1 C 1.28
O: 0.7461 0.2946 0.2371  1 C 1.29
O: 0.7054 0.2539 0.7629  1 C 1.29

=====

# 3
## Li9Mn2Co5O16 (PBE+U)

Data for a relaxed Li9Mn2Co5O16 crystal.

Its corrected total energy (MP2020 scheme) is -6.50 eV per atom. Its total energy is -5.79 eV per atom. The calculation puts the energy above the most stable polymorph in this dataset at 6.02 kJ/mol of atoms. The energy of formation comes out at -1.802 eV/atom.

Unit cell a=5.8317 b=5.0681 c=9.8538 alpha=80.25 beta=90.00 gamma=90.00
Closest atoms and distances in Å follow each position.
Fractional coordinates of all 32 atoms:
Li: 0.0014 0.2476 0.2421  6 O 2.03-2.25
Li: 0.2431 0.2473 0.7594  6 O 2.06-2.22
Li: 0.5024 0.2527 0.2429  5 O 2.03-2.23
Li: 0.2431 0.7527 0.2406  6 O 2.06-2.22
Li: 0.5024 0.7473 0.7571  5 O 2.03-2.23
Li: 0.7524 0.7517 0.2417  6 O 2.16-2.17
Li: 0.7524 0.2483 0.7583  6 O 2.16-2.17
Li: 0.0014 0.7524 0.7579  6 O 2.03-2.25
Li: 0.0006 0.0000 0.0000  6 O 2.07-2.12
Mn: 0.9998 0.5000 0.5000  6 O 1.93-1.95
Mn: 0.2482 0.5000 0.0000  6 O 1.93-1.96
Co: 0.5002 0.5000 0.5000  6 O 1.98-2.04
Co: 0.7576 0.5000 0.0000  6 O 1.97-2.10
Co: 0.5009 0.0000 0.0000  6 O 1.93-2.05
Co: 0.7480 0.0000 0.5000  6 O 2.01-2.07
Co: 0.2520 0.0000 0.5000  6 O 2.03-2.04
O: 0.7595 0.3782 0.3871  1 Mn 1.95, 2 Co 2.03-2.05, 1 Li 2.17
O: 0.0105 0.3924 0.8852  1 Mn 1.93, 1 Co 1.99, 3 Li 2.03-2.12
O: 0.2370 0.3763 0.3897  1 Mn 1.93, 2 Co 2.03-2.04
O: 0.0026 0.8541 0.3872  1 Mn 1.94, 2 Co 2.04-2.07, 2 Li 2.14-2.17
O: 0.2665 0.8603 0.8927  1 Co 1.93, 1 Mn 1.95, 2 Li 2.07
O: 0.5034 0.8626 0.3863  3 Co 1.98-2.04, 1 Li 2.17
O: 0.4857 0.3775 0.8850  1 Mn 1.96, 2 Co 2.05-2.10, 3 Li 2.06-2.16
O: 0.7387 0.8598 0.8873  2 Co 1.97-1.98, 4 Li 2.03-2.16
O: 0.2665 0.1397 0.1073  1 Co 1.93, 1 Mn 1.95, 2 Li 2.07
O: 0.5034 0.1374 0.6137  3 Co 1.98-2.04, 1 Li 2.17
O: 0.7387 0.1402 0.1127  2 Co 1.97-1.98, 4 Li 2.03-2.16
O: 0.4857 0.6225 0.1150  1 Mn 1.96, 2 Co 2.05-2.10, 3 Li 2.06-2.16
O: 0.7595 0.6218 0.6129  1 Mn 1.95, 2 Co 2.03-2.05, 1 Li 2.17
O: 0.0105 0.6076 0.1148  1 Mn 1.93, 1 Co 1.99, 3 Li 2.03-2.12
O: 0.0026 0.1459 0.6128  1 Mn 1.94, 2 Co 2.04-2.07, 2 Li 2.14-2.17
O: 0.2370 0.6237 0.6103  1 Mn 1.93, 2 Co 2.03-2.04

=====

# 4
## MgFe10O16F4 (PBE+U)

Data for a relaxed MgFe10O16F4 crystal.

Its corrected total energy (MP2020 scheme) is -7.28 eV per atom. Its total energy is -6.14 eV per atom. The calculation puts the energy above the most stable polymorph in this dataset at 0.00 kJ/mol of atoms. The energy of formation comes out at -1.700 eV/atom.

Unit cell a=4.9068 b=12.9006 c=5.5890 alpha=103.87 beta=88.83 gamma=90.62
Closest atoms and distances in Å follow each position.
Fractional coordinates of all 31 atoms:
Mg: 0.9883 0.2975 0.1023  1 F 1.94, 5 O 1.94-2.16
Fe: 0.5142 0.9879 0.4908  5 O 1.91-2.06, 1 F 2.12
Fe: 0.4688 0.4147 0.2865  4 O 1.92-2.08
Fe: 0.4848 0.1975 0.8891  4 O 1.91-2.11, 2 F 2.06-2.10
Fe: 0.5052 0.6103 0.6823  5 O 1.89-1.99
Fe: 0.5281 0.8005 0.0846  5 O 1.90-2.01
Fe: 0.9468 0.4055 0.7427  4 O 1.91-2.06, 1 F 2.05
Fe: 0.0049 0.8033 0.6039  5 O 1.94-2.12, 1 F 2.05
Fe: 0.0359 0.1806 0.4523  5 O 1.90-2.07
Fe: 0.9717 0.5938 0.2056  4 O 1.91-2.14, 2 F 2.06-2.10
Fe: 0.0330 0.9955 0.0157  5 O 1.91-2.03
O: 0.8331 0.2538 0.7537  3 Fe 1.98-2.05, 1 Mg 2.05
O: 0.8361 0.8639 0.9243  3 Fe 1.91-2.01
O: 0.8144 0.6674 0.5153  3 Fe 1.91-1.99
O: 0.8395 0.0474 0.3298  3 Fe 1.94-2.05
O: 0.8229 0.4471 0.1064  3 Fe 1.98-2.08, 1 Mg 2.10
O: 0.6561 0.4688 0.6058  3 Fe 1.91-1.99
O: 0.6745 0.6587 0.0076  3 Fe 1.92-2.14
O: 0.6868 0.8517 0.4123  3 Fe 1.91-2.09
O: 0.3281 0.3392 0.9654  2 Fe 1.94-1.96, 1 Mg 1.94
O: 0.3267 0.7435 0.7784  3 Fe 1.89-2.12
O: 0.3502 0.1275 0.5736  3 Fe 1.90-1.93
O: 0.3380 0.9317 0.1726  3 Fe 1.90-2.03
O: 0.2963 0.5520 0.3819  3 Fe 1.92-2.03
O: 0.1653 0.1435 0.0863  3 Fe 1.96-2.11, 1 Mg 2.16
O: 0.1965 0.9414 0.6878  3 Fe 1.96-2.06
O: 0.1460 0.3335 0.4446  3 Fe 1.95-2.18, 1 Mg 2.03
F: 0.6916 0.0556 0.8360  3 Fe 2.06-2.21
F: 0.6534 0.2531 0.2389  1 Mg 1.94, 1 Fe 2.10
F: 0.1659 0.5430 0.8688  3 Fe 2.05-2.22
F: 0.1828 0.7401 0.2665  3 Fe 2.05-2.19

=====

Q: The highest energy of formation belongs to which entry?
A: MgFe10O16F4